1.
A plane-wave DFT calculation with r²SCAN was carried out for an optimized crystal structure of HoGePt.

Space group: Pnma, No. 62
ρ, g/cm³: 12.56
ΔE_f, eV per atom: -1.249
Calculated volume, Å³ per atom: 19.07
DFT total energy, eV per cell: -407.95
Magnetic moment, μB/f.u.: 0.0

Cell: 4.3443 6.9741 7.5513 Å, 90.00 90.00 90.00°
With the nearest neighbours (Å) after each atom.
Atoms (fractional coordinates):
Ho1 0.2500 0.4974 0.7046  6 Pt 2.98-3.21, 6 Ge 3.00-3.18
Ho2 0.2500 0.9974 0.7954  6 Pt 2.98-3.21, 6 Ge 3.00-3.18
Ho3 0.7500 0.5026 0.2954  6 Pt 2.98-3.21, 6 Ge 3.00-3.18
Ho4 0.7500 0.0026 0.2046  6 Pt 2.98-3.21, 6 Ge 3.00-3.18
Ge1 0.2500 0.8095 0.4115  4 Pt 2.53-2.76
Ge2 0.2500 0.3095 0.0885  4 Pt 2.53-2.76
Ge3 0.7500 0.1905 0.5885  4 Pt 2.53-2.76
Ge4 0.7500 0.6905 0.9115  4 Pt 2.53-2.76
Pt1 0.2500 0.2052 0.4165  4 Ge 2.53-2.76
Pt2 0.2500 0.7052 0.0835  4 Ge 2.53-2.76
Pt3 0.7500 0.7948 0.5835  4 Ge 2.53-2.76
Pt4 0.7500 0.2948 0.9165  4 Ge 2.53-2.76

2.
A plane-wave DFT calculation with r²SCAN was carried out for an optimized crystal structure of Ba2V3HO9.

Space group: P2_1/m, No. 11
ρ, g/cm³: 4.61
ΔE_f, eV per atom: -2.772
Calculated volume, Å³ per atom: 13.76
DFT total energy, eV per cell: -388.12
Magnetic moment, μB/f.u.: 2.0

Cell: 6.1518 7.8899 9.2372 Å, 112.98 90.00 90.00°
With the nearest neighbours (Å) after each atom.
Atoms (fractional coordinates):
Ba1 0.7500 0.3225 0.4131  9 O 2.72-2.99
Ba2 0.2500 0.6775 0.5869  9 O 2.72-2.99
Ba3 0.7500 0.7388 0.2460  7 O 2.71-2.96
Ba4 0.2500 0.2612 0.7540  7 O 2.71-2.96
V1 0.5000 0.0000 0.0000  6 O 2.00-2.08
V2 0.0000 0.0000 0.0000  6 O 2.00-2.08
V3 0.2500 0.0501 0.3336  4 O 1.69-1.76
V4 0.7500 0.9499 0.6664  4 O 1.69-1.76
V5 0.7500 0.5643 0.8306  4 O 1.70-1.81
V6 0.2500 0.4357 0.1694  4 O 1.70-1.81
H1 0.7500 0.2758 0.0230  1 O 0.99
H2 0.2500 0.7242 0.9770  1 O 0.99
O1 0.4881 0.0100 0.2192  1 V 1.76
O2 0.9881 0.9900 0.7808  1 V 1.76
O3 0.5119 0.9900 0.7808  1 V 1.76
O4 0.0119 0.0100 0.2192  1 V 1.76
O5 0.5294 0.5031 0.7107  1 V 1.70
O6 0.0294 0.4969 0.2893  1 V 1.70
O7 0.4706 0.4969 0.2893  1 V 1.70
O8 0.9706 0.5031 0.7107  1 V 1.70
O9 0.7500 0.8084 0.9538  1 V 1.81
O10 0.2500 0.1916 0.0462  1 V 1.81
O11 0.2500 0.2731 0.4591  1 V 1.69
O12 0.7500 0.7269 0.5409  1 V 1.69
O13 0.7500 0.1754 0.0623  1 H 0.99
O14 0.2500 0.8246 0.9377  1 H 0.99
O15 0.2500 0.9223 0.4434  1 V 1.69
O16 0.7500 0.0777 0.5566  1 V 1.69
O17 0.7500 0.4455 0.9492  1 V 1.70, 1 H 1.72
O18 0.2500 0.5545 0.0508  1 V 1.70, 1 H 1.72

3.
A plane-wave DFT calculation with r²SCAN was carried out for an optimized crystal structure of Ho2Ga3Cu.

Space group: P3m1, No. 156
ρ, g/cm³: 8.64
ΔE_f, eV per atom: -0.679
Calculated volume, Å³ per atom: 19.30
DFT total energy, eV per cell: -115.01
Magnetic moment, μB/f.u.: 0.0

Cell: 4.3220 4.3220 7.1595 Å, 90.00 90.00 120.00°
With the nearest neighbours (Å) after each atom.
Atoms (fractional coordinates):
Ho1 0.3333 0.6667 0.7305  3 Cu 2.86, 6 Ga 2.95-3.08
Ho2 0.3333 0.6667 0.2619  6 Ga 2.94, 3 Cu 3.17
Ga1 0.6667 0.3333 0.4778  3 Cu 2.53
Ga2 0.6667 0.3333 0.0445  3 Ga 2.59
Ga3 0.0000 0.0000 0.9497  3 Ga 2.59
Cu1 0.0000 0.0000 0.5356  3 Ga 2.53

4.
A plane-wave DFT calculation with r²SCAN was carried out for an optimized crystal structure of SmAu.

Space group: Cmcm, No. 63
ρ, g/cm³: 11.50
ΔE_f, eV per atom: -0.940
Calculated volume, Å³ per atom: 25.08
DFT total energy, eV per cell: -164.40
Magnetic moment, μB/f.u.: 0.0

Cell: 3.8390 4.6920 5.8918 Å, 90.00 70.99 90.00°
With the nearest neighbours (Å) after each atom.
Atoms (fractional coordinates):
Sm1 0.1375 0.7500 0.7250  7 Au 3.07-3.15
Sm2 0.8625 0.2500 0.2750  7 Au 3.07-3.15
Au1 0.4130 0.7500 0.1740  2 Au 3.04, 7 Sm 3.07-3.15
Au2 0.5870 0.2500 0.8260  2 Au 3.04, 7 Sm 3.07-3.15